1:
# Ca3Ti2N4 (PBE-GGA, relaxed)
# **Total moment**: 0.0 μB/f.u.
data_Ca3Ti2N4
_cell_length_a 11.059
_cell_length_b 8.475
_cell_length_c 5.581
_cell_angle_alpha 90.00
_cell_angle_beta 92.07
_cell_angle_gamma 90.00
_space_group_name_H-M_alt 'C 1 2/c 1'
_space_group_IT_number 15
loop_
_space_group_symop_operation_xyz
'x,y,z'
'-x,-y,-z'
'-x,y,-z+1/2'
'x,-y,z+1/2'
'x+1/2,y+1/2,z'
'-x+1/2,-y+1/2,-z'
'-x+1/2,y+1/2,-z+1/2'
'x+1/2,-y+1/2,z+1/2'
loop_
_atom_site_label
_atom_site_type_symbol
_atom_site_fract_x
_atom_site_fract_y
_atom_site_fract_z
Ca1 Ca 0.000 0.107 0.250
Ca2 Ca 0.111 0.369 0.535
Ti1 Ti 0.201 0.118 0.909
N1 N 0.123 0.328 0.035
N2 N 0.159 0.078 0.572

2:
# Ca3Ti2N4 (PBE-GGA, relaxed)
# **Total moment**: 0.3 μB/f.u.
data_Ca3Ti2N4
_cell_length_a 5.855
_cell_length_b 10.118
_cell_length_c 9.245
_cell_angle_alpha 90.00
_cell_angle_beta 90.00
_cell_angle_gamma 90.00
_space_group_name_H-M_alt 'P n n a'
_space_group_IT_number 52
loop_
_space_group_symop_operation_xyz
'x,y,z'
'-x,-y,-z'
'-x+1/2,-y,z'
'x+1/2,y,-z'
'x,-y+1/2,-z+1/2'
'-x,y+1/2,z+1/2'
'-x+1/2,y+1/2,-z+1/2'
'x+1/2,-y+1/2,z+1/2'
loop_
_atom_site_label
_atom_site_type_symbol
_atom_site_fract_x
_atom_site_fract_y
_atom_site_fract_z
Ca1 Ca 0.116 0.156 0.077
Ca2 Ca 0.250 0.000 0.399
Ti1 Ti 0.140 0.250 0.750
Ti2 Ti 0.250 0.000 0.732
N1 N 0.011 0.586 0.333
N2 N 0.156 0.651 0.887

2 comes first in stability; the runner-up is 1.7 kJ/mol of atoms higher.

1:
Below is a relaxed Ca2WN2 crystal, with properties calculated at the PBE-GGA level.

Structure (CIF):
```
data_Ca2WN2
_cell_length_a 11.041
_cell_length_b 5.173
_cell_length_c 6.610
_cell_angle_alpha 90.00
_cell_angle_beta 117.09
_cell_angle_gamma 90.00
_space_group_name_H-M_alt 'C 1 2/m 1'
_space_group_IT_number 12
loop_
_space_group_symop_operation_xyz
'x,y,z'
'-x,-y,-z'
'-x,y,-z'
'x,-y,z'
'x+1/2,y+1/2,z'
'-x+1/2,-y+1/2,-z'
'-x+1/2,y+1/2,-z'
'x+1/2,-y+1/2,z'
loop_
_atom_site_label
_atom_site_type_symbol
_atom_site_fract_x
_atom_site_fract_y
_atom_site_fract_z
Ca1 Ca 0.025 0.000 0.268
Ca2 Ca 0.178 0.500 0.129
W1 W 0.144 0.500 0.631
N1 N 0.003 0.500 0.282
N2 N 0.183 0.000 0.114
```

2:
# Ca2WN2 (PBE-GGA, relaxed)
# **Total moment**: 0.0 μB/f.u.
data_Ca2WN2
_cell_length_a 5.322
_cell_length_b 6.251
_cell_length_c 6.589
_cell_angle_alpha 89.42
_cell_angle_beta 69.03
_cell_angle_gamma 64.94
_space_group_name_H-M_alt 'P -1'
_space_group_IT_number 2
loop_
_space_group_symop_operation_xyz
'x,y,z'
'-x,-y,-z'
loop_
_atom_site_label
_atom_site_type_symbol
_atom_site_fract_x
_atom_site_fract_y
_atom_site_fract_z
Ca1 Ca 0.080 0.081 0.221
Ca2 Ca 0.296 0.286 0.665
W1 W 0.410 0.433 0.190
N1 N 0.178 0.708 0.397
N2 N 0.416 0.890 0.772

1 comes first in stability; the runner-up is 3.2 kJ/mol of atoms higher.

1:
# Na2CaP2O11 (PBE-GGA, relaxed)
# **Total moment**: 4.0 μB/f.u.
data_Na2CaP2O11
_cell_length_a 5.753
_cell_length_b 8.873
_cell_length_c 9.718
_cell_angle_alpha 90.00
_cell_angle_beta 98.71
_cell_angle_gamma 90.00
_space_group_name_H-M_alt 'P 1 c 1'
_space_group_IT_number 7
loop_
_space_group_symop_operation_xyz
'x,y,z'
'x,-y,z+1/2'
loop_
_atom_site_label
_atom_site_type_symbol
_atom_site_fract_x
_atom_site_fract_y
_atom_site_fract_z
Na1 Na 0.000 0.131 0.000
Na2 Na 0.463 0.184 0.532
Ca1 Ca 0.778 0.473 0.074
P1 P 0.198 0.450 0.854
P2 P 0.974 0.249 0.362
O1 O 0.008 0.374 0.923
O2 O 0.089 0.100 0.418
O3 O 0.147 0.441 0.695
O4 O 0.194 0.369 0.395
O5 O 0.446 0.396 0.917
O6 O 0.477 0.002 0.243
O7 O 0.542 0.372 0.703
O8 O 0.556 0.057 0.856
O9 O 0.778 0.301 0.442
O10 O 0.886 0.105 0.610
O11 O 0.893 0.251 0.204

2:
# Na2CaP2O11 (PBE-GGA, relaxed)
# **Total moment**: 6.0 μB/f.u.
data_Na2CaP2O11
_cell_length_a 10.066
_cell_length_b 17.238
_cell_length_c 6.016
_cell_angle_alpha 90.00
_cell_angle_beta 105.60
_cell_angle_gamma 90.00
_space_group_name_H-M_alt 'C 1 c 1'
_space_group_IT_number 9
loop_
_space_group_symop_operation_xyz
'x,y,z'
'x,-y,z+1/2'
'x+1/2,y+1/2,z'
'x+1/2,-y+1/2,z+1/2'
loop_
_atom_site_label
_atom_site_type_symbol
_atom_site_fract_x
_atom_site_fract_y
_atom_site_fract_z
Na1 Na 0.000 0.068 0.000
Na2 Na 0.377 0.075 0.965
Ca1 Ca 0.404 0.240 0.648
P1 P 0.085 0.289 0.733
P2 P 0.102 0.129 0.561
O1 O 0.005 0.319 0.895
O2 O 0.024 0.320 0.485
O3 O 0.029 0.148 0.310
O4 O 0.053 0.053 0.648
O5 O 0.054 0.194 0.725
O6 O 0.101 0.494 0.154
O7 O 0.226 0.496 0.715
O8 O 0.241 0.299 0.811
O9 O 0.254 0.342 0.446
O10 O 0.256 0.030 0.247
O11 O 0.259 0.132 0.616

2 comes first in stability; the runner-up is 2.7 kJ/mol of atoms higher.

1:
# SrCaSmNbO6 (PBE-GGA, relaxed)
# **Total moment**: 0.0 μB/f.u.
data_SrCaSmNbO6
_cell_length_a 8.521
_cell_length_b 8.521
_cell_length_c 8.521
_cell_angle_alpha 90.00
_cell_angle_beta 90.00
_cell_angle_gamma 90.00
_space_group_name_H-M_alt 'F -4 3 m'
_space_group_IT_number 216
_space_group_name_Hall 'F -4 2 3'
loop_
_atom_site_label
_atom_site_type_symbol
_atom_site_fract_x
_atom_site_fract_y
_atom_site_fract_z
Sr1 Sr 0.000 0.000 0.000
Ca1 Ca 0.000 0.000 0.500
Sm1 Sm 0.250 0.250 0.750
Nb1 Nb 0.250 0.250 0.250
O1 O 0.015 0.250 0.250

2:
# SrCaSmNbO6 (PBE-GGA, relaxed)
# **Total moment**: 0.0 μB/f.u.
data_SrCaSmNbO6
_cell_length_a 8.380
_cell_length_b 8.390
_cell_length_c 8.392
_cell_angle_alpha 90.00
_cell_angle_beta 90.00
_cell_angle_gamma 90.00
_space_group_name_H-M_alt 'P 2 2 2'
_space_group_IT_number 16
loop_
_space_group_symop_operation_xyz
'x,y,z'
'-x,-y,z'
'x,-y,-z'
'-x,y,-z'
loop_
_atom_site_label
_atom_site_type_symbol
_atom_site_fract_x
_atom_site_fract_y
_atom_site_fract_z
Sr1 Sr 0.000 0.000 0.000
Sr2 Sr 0.000 0.000 0.500
Sr3 Sr 0.500 0.000 0.000
Sr4 Sr 0.500 0.500 0.500
Ca1 Ca 0.000 0.500 0.000
Ca2 Ca 0.000 0.500 0.500
Ca3 Ca 0.500 0.000 0.500
Ca4 Ca 0.500 0.500 0.000
Sm1 Sm 0.250 0.253 0.751
Nb1 Nb 0.250 0.253 0.251
O1 O 0.017 0.215 0.200
O2 O 0.195 0.483 0.296
O3 O 0.217 0.204 0.484
O4 O 0.292 0.017 0.214
O5 O 0.293 0.307 0.018
O6 O 0.484 0.286 0.296

2 comes first in stability; the runner-up is 10.2 kJ/mol of atoms higher.

1:
# CaNi4S8 (PBE-GGA, relaxed)
# **Total moment**: 0.0 μB/f.u.
data_CaNi4S8
_cell_length_a 6.9722
_cell_length_b 6.9722
_cell_length_c 16.8775
_cell_angle_alpha 90.00
_cell_angle_beta 90.00
_cell_angle_gamma 120.00
_space_group_name_H-M_alt 'R -3 m'
_space_group_IT_number 166
_space_group_name_Hall '-R 3 2"'
loop_
_atom_site_label
_atom_site_type_symbol
_atom_site_fract_x
_atom_site_fract_y
_atom_site_fract_z
Ca1 Ca 0.0000 0.0000 0.0000
Ni1 Ni 0.0000 0.0000 0.5000
Ni2 Ni 0.0000 0.5000 0.0000
S1 S 0.0000 0.0000 0.2652
S2 S 0.0469 0.5235 0.2527

2:
# CaNi4S8 (PBE-GGA, relaxed)
# **Total moment**: 1.8 μB/f.u.
data_CaNi4S8
_cell_length_a 6.7275
_cell_length_b 6.7275
_cell_length_c 19.3330
_cell_angle_alpha 90.00
_cell_angle_beta 90.00
_cell_angle_gamma 120.00
_space_group_name_H-M_alt 'R -3 m'
_space_group_IT_number 166
_space_group_name_Hall '-R 3 2"'
loop_
_atom_site_label
_atom_site_type_symbol
_atom_site_fract_x
_atom_site_fract_y
_atom_site_fract_z
Ca1 Ca 0.0000 0.0000 0.0000
Ni1 Ni 0.0000 0.0000 0.5000
Ni2 Ni 0.0000 0.5000 0.5000
S1 S 0.0000 0.0000 0.2285
S2 S 0.0028 0.5014 0.7715

2 comes first in stability; the runner-up is 5.3 kJ/mol of atoms higher.

1:
# Ca3P2O8 (PBE-GGA, relaxed)
# **Total moment**: 0.0 μB/f.u.
data_Ca3P2O8
_cell_length_a 10.5492
_cell_length_b 10.5492
_cell_length_c 37.6777
_cell_angle_alpha 90.00
_cell_angle_beta 90.00
_cell_angle_gamma 120.00
_space_group_name_H-M_alt 'R 3'
_space_group_IT_number 146
_space_group_name_Hall 'R 3'
loop_
_atom_site_label
_atom_site_type_symbol
_atom_site_fract_x
_atom_site_fract_y
_atom_site_fract_z
Ca1 Ca 0.0000 0.0000 0.0000
Ca2 Ca 0.0000 0.0000 0.3122
Ca3 Ca 0.0000 0.0000 0.5003
Ca4 Ca 0.0475 0.5380 0.1020
Ca5 Ca 0.0545 0.5102 0.6001
Ca6 Ca 0.1767 0.7905 0.8386
Ca7 Ca 0.1913 0.3926 0.2351
Ca8 Ca 0.1934 0.4081 0.3421
Ca9 Ca 0.1926 0.8020 0.7347
P1 P 0.0000 0.0000 0.2354
P2 P 0.0000 0.0000 0.7330
P3 P 0.0138 0.5280 0.3014
P4 P 0.0146 0.4876 0.8011
P5 P 0.1577 0.8050 0.5333
P6 P 0.1620 0.3652 0.0330
O1 O 0.0000 0.0000 0.1949
O2 O 0.0000 0.0000 0.6913
O3 O 0.0006 0.1377 0.2516
O4 O 0.0070 0.7294 0.8873
O5 O 0.0096 0.2834 0.3870
O6 O 0.0268 0.7867 0.1163
O7 O 0.0276 0.2406 0.6174
O8 O 0.0376 0.5300 0.3421
O9 O 0.0413 0.5108 0.8417
O10 O 0.0695 0.6884 0.2897
O11 O 0.0704 0.3837 0.7886
O12 O 0.0893 0.9048 0.5414
O13 O 0.0981 0.1958 0.0367
O14 O 0.1093 0.4274 0.5463
O15 O 0.1230 0.6793 0.0465
O16 O 0.1440 0.1385 0.7449
O17 O 0.1448 0.7628 0.4938
O18 O 0.1622 0.4178 0.9937
O19 O 0.1823 0.0800 0.4583
O20 O 0.1816 0.1024 0.9580

2:
# Ca3P2O8 (PBE-GGA, relaxed)
# **Total moment**: 0.0 μB/f.u.
data_Ca3P2O8
_cell_length_a 5.3143
_cell_length_b 5.3143
_cell_length_c 18.8125
_cell_angle_alpha 90.00
_cell_angle_beta 90.00
_cell_angle_gamma 120.00
_space_group_name_H-M_alt 'R -3 m'
_space_group_IT_number 166
_space_group_name_Hall '-R 3 2"'
loop_
_atom_site_label
_atom_site_type_symbol
_atom_site_fract_x
_atom_site_fract_y
_atom_site_fract_z
Ca1 Ca 0.0000 0.0000 0.0000
Ca2 Ca 0.0000 0.0000 0.2038
P1 P 0.0000 0.0000 0.4049
O1 O 0.0000 0.0000 0.3233
O2 O 0.0137 0.5068 0.2340

3:
# Ca3P2O8 (PBE-GGA, relaxed)
# **Total moment**: 0.0 μB/f.u.
data_Ca3P2O8
_cell_length_a 5.622
_cell_length_b 8.920
_cell_length_c 7.234
_cell_angle_alpha 90.00
_cell_angle_beta 90.54
_cell_angle_gamma 90.00
_space_group_name_H-M_alt 'C 1 2 1'
_space_group_IT_number 5
loop_
_space_group_symop_operation_xyz
'x,y,z'
'-x,y,-z'
'x+1/2,y+1/2,z'
'-x+1/2,y+1/2,-z'
loop_
_atom_site_label
_atom_site_type_symbol
_atom_site_fract_x
_atom_site_fract_y
_atom_site_fract_z
Ca1 Ca 0.000 0.000 0.000
Ca2 Ca 0.005 0.680 0.273
P1 P 0.000 0.037 0.500
P2 P 0.000 0.341 0.000
O1 O 0.012 0.941 0.681
O2 O 0.020 0.439 0.828
O3 O 0.225 0.233 0.008
O4 O 0.226 0.137 0.494

1 comes first in stability; the runner-up is 3.7 kJ/mol of atoms higher.